# 1
Density functional theory data (PBE) for BaZr2SnO6 after structural relaxation.

Cell and atoms, written as POSCAR:
```
BaZr2SnO6
1.0
4.228 0.000 0.000
0.000 4.228 0.000
0.000 0.000 8.452
Ba Zr Sn O
1 2 1 6
Direct
0.000 0.000 0.000
0.500 0.500 0.253
0.500 0.500 0.747
0.000 0.000 0.500
0.000 0.500 0.250
0.000 0.500 0.750
0.500 0.000 0.250
0.500 0.000 0.750
0.500 0.500 0.000
0.500 0.500 0.500
```

The volume comes out at 15.11 A^3/atom. The relative energy among the computed polymorphs is 0.0079 eV per atom. As for the density: 5.87 g/cm3. Its energy with MP2020 corrections is -8.43 eV per atom. The value obtained for the total energy is -8.014 eV per atom.



# 2
Density functional theory data (PBE) for BaZr2SnO6 after structural relaxation.

Cell and atoms, written as POSCAR:
```
BaZr2SnO6
1.0
8.457 0.000 0.000
0.000 8.457 0.000
0.000 0.000 8.457
Ba Zr Sn O
4 8 4 24
Direct
0.000 0.000 0.000
0.000 0.000 0.500
0.000 0.500 0.000
0.500 0.000 0.000
0.251 0.251 0.251
0.251 0.251 0.749
0.251 0.749 0.251
0.251 0.749 0.749
0.749 0.251 0.251
0.749 0.251 0.749
0.749 0.749 0.251
0.749 0.749 0.749
0.000 0.500 0.500
0.500 0.000 0.500
0.500 0.500 0.000
0.500 0.500 0.500
0.000 0.250 0.250
0.000 0.250 0.750
0.000 0.750 0.250
0.000 0.750 0.750
0.250 0.000 0.250
0.250 0.000 0.750
0.250 0.250 0.000
0.250 0.250 0.500
0.250 0.500 0.250
0.250 0.500 0.750
0.250 0.750 0.000
0.250 0.750 0.500
0.500 0.250 0.250
0.500 0.250 0.750
0.500 0.750 0.250
0.500 0.750 0.750
0.750 0.000 0.250
0.750 0.000 0.750
0.750 0.250 0.000
0.750 0.250 0.500
0.750 0.500 0.250
0.750 0.500 0.750
0.750 0.750 0.000
0.750 0.750 0.500
```

The volume comes out at 15.12 A^3/atom. The relative energy among the computed polymorphs is 0.0085 eV per atom. As for the density: 5.87 g/cm3. Its energy with MP2020 corrections is -8.43 eV per atom. The value obtained for the total energy is -8.014 eV per atom.



# 3
Density functional theory data (PBE) for BaZr2SnO6 after structural relaxation.

Cell and atoms, written as POSCAR:
```
BaZr2SnO6
1.0
8.456 0.000 0.000
0.000 8.456 0.000
0.000 0.000 8.456
Ba Zr Sn O
4 8 4 24
Direct
0.000 0.000 0.000
0.000 0.000 0.500
0.000 0.500 0.000
0.500 0.000 0.500
0.251 0.251 0.250
0.251 0.251 0.750
0.251 0.749 0.250
0.251 0.749 0.750
0.749 0.251 0.250
0.749 0.251 0.750
0.749 0.749 0.250
0.749 0.749 0.750
0.000 0.500 0.500
0.500 0.000 0.000
0.500 0.500 0.000
0.500 0.500 0.500
0.000 0.250 0.250
0.000 0.250 0.750
0.000 0.750 0.250
0.000 0.750 0.750
0.250 0.000 0.250
0.250 0.000 0.750
0.250 0.250 0.000
0.250 0.250 0.500
0.250 0.500 0.250
0.250 0.500 0.750
0.250 0.750 0.000
0.250 0.750 0.500
0.500 0.250 0.250
0.500 0.250 0.750
0.500 0.750 0.250
0.500 0.750 0.750
0.750 0.000 0.250
0.750 0.000 0.750
0.750 0.250 0.000
0.750 0.250 0.500
0.750 0.500 0.250
0.750 0.500 0.750
0.750 0.750 0.000
0.750 0.750 0.500
```

The volume comes out at 15.11 A^3/atom. The relative energy among the computed polymorphs is 0.0091 eV per atom. As for the density: 5.87 g/cm3. Its energy with MP2020 corrections is -8.43 eV per atom. The value obtained for the total energy is -8.013 eV per atom.



# 4
Density functional theory data (PBE) for BaSrO2 after structural relaxation.

Cell and atoms, written as POSCAR:
```
BaSrO2
1.0
3.842 0.000 0.000
0.000 3.842 0.000
0.000 0.000 5.428
Ba Sr O
1 1 2
Direct
0.000 0.000 0.000
0.500 0.500 0.500
0.000 0.000 0.500
0.500 0.500 0.000
```

The volume comes out at 20.03 A^3/atom. The relative energy among the computed polymorphs is 0.0274 eV per atom. As for the density: 5.33 g/cm3. Its energy with MP2020 corrections is -6.27 eV per atom. The value obtained for the total energy is -5.929 eV per atom.



Which formula does entry 3 have?
BaZr2SnO6



The lowest relative energy among the computed polymorphs belongs to which entry?
number 1